LiCoP2O7 after structural relaxation, computed with PBE+U.

Values from the calculation:
- total magnetization (μB per formula unit) = 1.000
- E above lowest polymorph (eV per atom) = 0.039
- formation energy (eV per atom) = -2.314

```
data_LiCoP2O7
_cell_length_a 6.387
_cell_length_b 9.213
_cell_length_c 10.573
_cell_angle_alpha 65.27
_cell_angle_beta 86.06
_cell_angle_gamma 72.88
_symmetry_space_group_name_H-M 'P 1'
_symmetry_Int_Tables_number 1
loop_
_symmetry_equiv_pos_as_xyz
'x,y,z'
loop_
_atom_site_label
_atom_site_fract_x
_atom_site_fract_y
_atom_site_fract_z
_atom_site_occupancy
Li1 0.000 0.000 0.000 1
Li2 0.079 0.776 0.542 1
Li3 0.454 0.355 0.504 1
Li4 0.674 0.787 0.074 1
Co1 0.296 0.941 0.273 1
Co2 0.379 0.339 0.235 1
Co3 0.645 0.340 0.743 1
Co4 0.726 0.742 0.716 1
P1 0.086 0.661 0.290 1
P2 0.128 0.391 0.786 1
P3 0.317 0.037 0.536 1
P4 0.436 0.144 0.027 1
P5 0.602 0.534 0.955 1
P6 0.702 0.651 0.449 1
P7 0.905 0.279 0.190 1
P8 0.931 0.027 0.699 1
O1 0.015 0.103 0.197 1
O2 0.021 0.576 0.757 1
O3 0.027 0.950 0.845 1
O4 0.068 0.355 0.221 1
O5 0.090 0.120 0.587 1
O6 0.140 0.766 0.358 1
O7 0.233 0.303 0.945 1
O8 0.266 0.937 0.461 1
O9 0.295 0.517 0.305 1
O10 0.323 0.372 0.695 1
O11 0.380 0.982 0.052 1
O12 0.404 0.181 0.445 1
O13 0.411 0.499 0.044 1
O14 0.447 0.141 0.175 1
O15 0.460 0.913 0.670 1
O16 0.566 0.770 0.309 1
O17 0.583 0.536 0.807 1
O18 0.603 0.513 0.539 1
O19 0.641 0.167 0.947 1
O20 0.657 0.695 0.929 1
O21 0.702 0.294 0.274 1
O22 0.715 0.174 0.671 1
O23 0.753 0.749 0.523 1
O24 0.819 0.383 0.029 1
O25 0.898 0.904 0.645 1
O26 0.929 0.562 0.401 1
O27 0.964 0.303 0.781 1
O28 0.966 0.766 0.148 1
```


LiCoP2O7 after structural relaxation, computed with PBE+U.

Values from the calculation:
- total magnetization (μB per formula unit) = 0.000
- E above lowest polymorph (eV per atom) = 0.033
- formation energy (eV per atom) = -2.320

```
data_LiCoP2O7
_cell_length_a 6.207
_cell_length_b 6.209
_cell_length_c 6.730
_cell_angle_alpha 66.63
_cell_angle_beta 86.28
_cell_angle_gamma 82.54
_symmetry_space_group_name_H-M 'P -1'
_symmetry_Int_Tables_number 2
loop_
_symmetry_equiv_pos_as_xyz
'x,y,z'
'-x,-y,-z'
loop_
_atom_site_label
_atom_site_fract_x
_atom_site_fract_y
_atom_site_fract_z
_atom_site_occupancy
Li1 0.013 0.215 0.331 1
Co1 0.363 0.410 0.711 1
P1 0.128 0.719 0.264 1
P2 0.399 0.847 0.850 1
O1 0.044 0.436 0.745 1
O2 0.050 0.896 0.357 1
O3 0.208 0.853 0.022 1
O4 0.321 0.721 0.717 1
O5 0.334 0.544 0.383 1
O6 0.394 0.280 0.019 1
O7 0.413 0.104 0.699 1
```


LiCoP2O7 after structural relaxation, computed with PBE+U.

Values from the calculation:
- total magnetization (μB per formula unit) = 2.000
- E above lowest polymorph (eV per atom) = 0.052
- formation energy (eV per atom) = -2.301

```
data_LiCoP2O7
_cell_length_a 15.261
_cell_length_b 5.509
_cell_length_c 8.198
_cell_angle_alpha 90.00
_cell_angle_beta 119.49
_cell_angle_gamma 90.00
_symmetry_space_group_name_H-M 'C 1 c 1'
_symmetry_Int_Tables_number 9
loop_
_symmetry_equiv_pos_as_xyz
'x,y,z'
'x,-y,z+1/2'
'x+1/2,y+1/2,z'
'x+1/2,-y+1/2,z+1/2'
loop_
_atom_site_label
_atom_site_fract_x
_atom_site_fract_y
_atom_site_fract_z
_atom_site_occupancy
Li1 0.000 0.178 0.000 1
Co1 0.273 0.490 0.181 1
P1 0.168 0.147 0.824 1
P2 0.382 0.146 0.032 1
O1 0.082 0.024 0.244 1
O2 0.172 0.313 0.981 1
O3 0.176 0.304 0.675 1
O4 0.274 0.002 0.425 1
O5 0.377 0.346 0.892 1
O6 0.379 0.282 0.197 1
O7 0.463 0.034 0.587 1
```